# 1
# LaFeTeO6 | Materials Project | GGA+U | optimized geometry
# Calculated volume: 13.9 Å³ per atom
data_LaFeTeO6
_chemical_formula_sum 'La4 Fe4 Te4 O24'
_cell_length_a 5.270
_cell_length_b 10.429
_cell_length_c 9.124
_cell_angle_alpha 90.00
_cell_angle_beta 90.00
_cell_angle_gamma 89.97
_space_group_name_H-M_alt 'P 1'
_space_group_IT_number 1
_space_group_name_Hall 'P 1'
loop_
_atom_site_label
_atom_site_type_symbol
_atom_site_fract_x
_atom_site_fract_y
_atom_site_fract_z
_atom_site_occupancy
O1 O 0.130 0.645 0.507 1
O2 O 0.824 0.356 0.188 1
O3 O 0.695 0.144 0.317 1
O4 O 0.130 0.145 0.493 1
O5 O 0.305 0.856 0.683 1
O6 O 0.370 0.355 0.993 1
O7 O 0.305 0.356 0.317 1
O8 O 0.630 0.145 0.993 1
O9 O 0.370 0.855 0.007 1
O10 O 0.805 0.356 0.817 1
O11 O 0.870 0.855 0.507 1
O12 O 0.870 0.355 0.493 1
O13 O 0.695 0.644 0.683 1
O14 O 0.176 0.644 0.812 1
O15 O 0.630 0.645 0.007 1
O16 O 0.195 0.644 0.183 1
O17 O 0.805 0.856 0.183 1
O18 O 0.676 0.644 0.312 1
O19 O 0.195 0.144 0.817 1
O20 O 0.324 0.856 0.312 1
O21 O 0.676 0.144 0.688 1
O22 O 0.324 0.356 0.688 1
O23 O 0.176 0.144 0.188 1
O24 O 0.824 0.856 0.812 1
Fe1 Fe 0.500 0.250 0.166 1
Fe2 Fe 0.000 0.750 0.333 1
Fe3 Fe 0.500 0.750 0.834 1
Fe4 Fe 0.000 0.250 0.666 1
Te1 Te 0.500 0.750 0.167 1
Te2 Te 0.500 0.250 0.833 1
Te3 Te 0.000 0.750 0.667 1
Te4 Te 0.000 0.250 0.333 1
La1 La 0.500 0.000 0.500 1
La2 La 0.000 0.000 0.000 1
La3 La 0.000 0.500 0.000 1
La4 La 0.500 0.500 0.500 1

---

# 2
# Li5V6Cu6O24 | Materials Project | GGA+U | optimized geometry
# Calculated volume: 10.9 Å³ per atom
data_Li5V6Cu6O24
_chemical_formula_sum 'Li10 V12 Cu12 O48'
_cell_length_a 8.970
_cell_length_b 8.149
_cell_length_c 12.798
_cell_angle_alpha 72.71
_cell_angle_beta 90.00
_cell_angle_gamma 90.00
_space_group_name_H-M_alt 'P 1'
_space_group_IT_number 1
_space_group_name_Hall 'P 1'
loop_
_atom_site_label
_atom_site_type_symbol
_atom_site_fract_x
_atom_site_fract_y
_atom_site_fract_z
_atom_site_occupancy
O1 O 0.253 0.840 0.341 1
O2 O 0.475 0.925 0.163 1
O3 O 0.748 0.828 0.326 1
O4 O 0.524 0.757 0.995 1
O5 O 0.976 0.423 0.164 1
O6 O 0.249 0.508 0.506 1
O7 O 0.976 0.757 0.495 1
O8 O 0.753 0.160 0.159 1
O9 O 0.250 0.661 0.160 1
O10 O 0.742 0.006 0.006 1
O11 O 0.750 0.674 0.173 1
O12 O 0.524 0.423 0.664 1
O13 O 0.025 0.589 0.330 1
O14 O 0.252 0.172 0.674 1
O15 O 0.475 0.903 0.678 1
O16 O 0.524 0.731 0.505 1
O17 O 0.250 0.661 0.660 1
O18 O 0.525 0.411 0.170 1
O19 O 0.476 0.243 0.005 1
O20 O 0.242 0.994 0.494 1
O21 O 0.247 0.840 0.841 1
O22 O 0.976 0.731 0.005 1
O23 O 0.258 0.994 0.994 1
O24 O 0.476 0.577 0.336 1
O25 O 0.750 0.674 0.673 1
O26 O 0.476 0.269 0.495 1
O27 O 0.750 0.339 0.340 1
O28 O 0.975 0.097 0.822 1
O29 O 0.024 0.269 0.995 1
O30 O 0.525 0.075 0.837 1
O31 O 0.250 0.326 0.327 1
O32 O 0.475 0.589 0.830 1
O33 O 0.525 0.097 0.322 1
O34 O 0.975 0.075 0.337 1
O35 O 0.749 0.492 0.994 1
O36 O 0.250 0.326 0.827 1
O37 O 0.747 0.160 0.659 1
O38 O 0.752 0.828 0.826 1
O39 O 0.024 0.243 0.505 1
O40 O 0.248 0.172 0.174 1
O41 O 0.025 0.903 0.178 1
O42 O 0.758 0.006 0.506 1
O43 O 0.025 0.925 0.663 1
O44 O 0.750 0.339 0.840 1
O45 O 0.975 0.411 0.670 1
O46 O 0.024 0.577 0.836 1
O47 O 0.251 0.508 0.006 1
O48 O 0.751 0.492 0.494 1
Cu1 Cu 0.255 0.084 0.335 1
Cu2 Cu 0.750 0.583 0.833 1
Cu3 Cu 0.745 0.916 0.665 1
Cu4 Cu 0.245 0.084 0.835 1
Cu5 Cu 0.245 0.752 0.001 1
Cu6 Cu 0.750 0.583 0.333 1
Cu7 Cu 0.250 0.417 0.667 1
Cu8 Cu 0.255 0.752 0.501 1
Cu9 Cu 0.755 0.248 0.999 1
Cu10 Cu 0.745 0.248 0.499 1
Cu11 Cu 0.755 0.916 0.165 1
Cu12 Cu 0.250 0.417 0.167 1
V1 V 0.866 0.580 0.084 1
V2 V 0.135 0.748 0.252 1
V3 V 0.134 0.420 0.916 1
V4 V 0.367 0.083 0.084 1
V5 V 0.365 0.748 0.752 1
V6 V 0.634 0.580 0.584 1
V7 V 0.865 0.252 0.748 1
V8 V 0.635 0.252 0.248 1
V9 V 0.867 0.917 0.416 1
V10 V 0.133 0.083 0.584 1
V11 V 0.366 0.420 0.416 1
V12 V 0.633 0.917 0.916 1
Li1 Li 0.498 0.162 0.663 1
Li2 Li 0.500 0.668 0.167 1
Li3 Li 0.000 0.668 0.667 1
Li4 Li 0.500 0.332 0.833 1
Li5 Li 0.002 0.162 0.163 1
Li6 Li 0.500 0.500 0.000 1
Li7 Li 0.998 0.838 0.837 1
Li8 Li 0.000 0.332 0.333 1
Li9 Li 0.502 0.838 0.337 1
Li10 Li 0.000 0.500 0.500 1

---

# 3
# NaFe2O4 | Materials Project | GGA+U | optimized geometry
# Calculated volume: 12.4 Å³ per atom
data_NaFe2O4
_chemical_formula_sum 'Na4 Fe8 O16'
_cell_length_a 5.114
_cell_length_b 5.900
_cell_length_c 11.501
_cell_angle_alpha 90.13
_cell_angle_beta 90.05
_cell_angle_gamma 90.08
_space_group_name_H-M_alt 'P 1'
_space_group_IT_number 1
_space_group_name_Hall 'P 1'
loop_
_atom_site_label
_atom_site_type_symbol
_atom_site_fract_x
_atom_site_fract_y
_atom_site_fract_z
_atom_site_occupancy
Fe1 Fe 0.500 0.000 0.500 1
Fe2 Fe 0.002 0.750 0.493 1
Fe3 Fe 0.998 0.253 0.996 1
Fe4 Fe 0.500 0.498 0.000 1
Fe5 Fe 0.500 0.500 0.500 1
Fe6 Fe 0.501 0.999 0.999 1
Fe7 Fe 0.998 0.250 0.507 1
Fe8 Fe 0.003 0.751 0.007 1
O1 O 0.320 0.258 0.085 1
O2 O 0.331 0.239 0.413 1
O3 O 0.821 0.003 0.408 1
O4 O 0.827 0.489 0.090 1
O5 O 0.656 0.235 0.591 1
O6 O 0.344 0.766 0.409 1
O7 O 0.668 0.762 0.588 1
O8 O 0.350 0.736 0.090 1
O9 O 0.844 0.016 0.092 1
O10 O 0.163 0.502 0.595 1
O11 O 0.173 0.489 0.910 1
O12 O 0.179 0.996 0.592 1
O13 O 0.837 0.499 0.405 1
O14 O 0.668 0.740 0.912 1
O15 O 0.665 0.261 0.911 1
O16 O 0.157 0.009 0.907 1
Na1 Na 0.967 0.751 0.750 1
Na2 Na 0.028 0.250 0.250 1
Na3 Na 0.357 0.248 0.750 1
Na4 Na 0.643 0.751 0.251 1

---

# 4
# LiFe2OF5 | Materials Project | GGA+U | optimized geometry
# Calculated volume: 11.5 Å³ per atom
data_LiFe2OF5
_chemical_formula_sum 'Li2 Fe4 O2 F10'
_cell_length_a 4.745
_cell_length_b 4.748
_cell_length_c 10.358
_cell_angle_alpha 62.87
_cell_angle_beta 90.00
_cell_angle_gamma 90.00
_space_group_name_H-M_alt 'P 1'
_space_group_IT_number 1
_space_group_name_Hall 'P 1'
loop_
_atom_site_label
_atom_site_type_symbol
_atom_site_fract_x
_atom_site_fract_y
_atom_site_fract_z
_atom_site_occupancy
Li1 Li 0.749 0.005 0.503 1
Li2 Li 0.251 0.005 0.003 1
F1 F 0.437 0.320 0.496 1
F2 F 0.060 0.693 0.499 1
F3 F 0.551 0.970 0.332 1
F4 F 0.051 0.370 0.830 1
F5 F 0.949 0.370 0.330 1
F6 F 0.563 0.320 0.996 1
F7 F 0.449 0.970 0.832 1
F8 F 0.461 0.615 0.176 1
F9 F 0.940 0.693 0.999 1
F10 F 0.539 0.615 0.676 1
Fe1 Fe 0.239 0.690 0.322 1
Fe2 Fe 0.761 0.690 0.822 1
Fe3 Fe 0.228 0.309 0.668 1
Fe4 Fe 0.772 0.309 0.168 1
O1 O 0.949 0.027 0.674 1
O2 O 0.051 0.027 0.174 1

---

# 5
# Ca3Zr2AlFeSiO12 | Materials Project | GGA+U | optimized geometry
# Calculated volume: 12.8 Å³ per atom
data_Ca3Zr2AlFeSiO12
_chemical_formula_sum 'Ca12 Zr8 Al4 Fe4 Si4 O48'
_cell_length_a 10.986
_cell_length_b 10.986
_cell_length_c 10.986
_cell_angle_alpha 109.13
_cell_angle_beta 109.13
_cell_angle_gamma 110.15
_space_group_name_H-M_alt 'P 1'
_space_group_IT_number 1
_space_group_name_Hall 'P 1'
loop_
_atom_site_label
_atom_site_type_symbol
_atom_site_fract_x
_atom_site_fract_y
_atom_site_fract_z
_atom_site_occupancy
O1 O 0.276 0.204 0.623 1
O2 O 0.667 0.003 0.731 1
O3 O 0.997 0.728 0.663 1
O4 O 0.787 0.238 0.363 1
O5 O 0.965 0.010 0.137 1
O6 O 0.377 0.740 0.455 1
O7 O 0.876 0.424 0.637 1
O8 O 0.346 0.724 0.927 1
O9 O 0.374 0.512 0.048 1
O10 O 0.272 0.936 0.269 1
O11 O 0.581 0.654 0.377 1
O12 O 0.781 0.499 0.337 1
O13 O 0.501 0.838 0.282 1
O14 O 0.669 0.546 0.573 1
O15 O 0.391 0.520 0.562 1
O16 O 0.172 0.035 0.045 1
O17 O 0.583 0.814 0.837 1
O18 O 0.674 0.626 0.137 1
O19 O 0.260 0.715 0.637 1
O20 O 0.454 0.026 0.123 1
O21 O 0.990 0.127 0.955 1
O22 O 0.974 0.096 0.427 1
O23 O 0.162 0.445 0.663 1
O24 O 0.859 0.921 0.629 1
O25 O 0.079 0.708 0.938 1
O26 O 0.480 0.042 0.871 1
O27 O 0.292 0.230 0.371 1
O28 O 0.873 0.828 0.863 1
O29 O 0.088 0.251 0.782 1
O30 O 0.904 0.331 0.877 1
O31 O 0.488 0.537 0.863 1
O32 O 0.762 0.124 0.548 1
O33 O 0.186 0.022 0.769 1
O34 O 0.555 0.219 0.718 1
O35 O 0.078 0.623 0.363 1
O36 O 0.463 0.326 0.952 1
O37 O 0.958 0.829 0.438 1
O38 O 0.978 0.747 0.163 1
O39 O 0.576 0.213 0.452 1
O40 O 0.796 0.419 0.073 1
O41 O 0.695 0.912 0.163 1
O42 O 0.253 0.417 0.231 1
O43 O 0.749 0.531 0.837 1
O44 O 0.064 0.333 0.337 1
O45 O 0.469 0.305 0.218 1
O46 O 0.770 0.141 0.062 1
O47 O 0.171 0.609 0.129 1
O48 O 0.285 0.922 0.545 1
Fe1 Fe 0.751 0.375 0.876 1
Fe2 Fe 0.125 0.249 0.624 1
Fe3 Fe 0.499 0.875 0.124 1
Fe4 Fe 0.625 0.501 0.376 1
Zr1 Zr 0.877 0.627 0.252 1
Zr2 Zr 0.875 0.123 0.750 1
Zr3 Zr 0.876 0.125 0.248 1
Zr4 Zr 0.877 0.627 0.752 1
Zr5 Zr 0.374 0.123 0.750 1
Zr6 Zr 0.373 0.625 0.250 1
Zr7 Zr 0.373 0.124 0.250 1
Zr8 Zr 0.375 0.626 0.748 1
Ca1 Ca 0.001 0.501 0.500 1
Ca2 Ca 0.625 0.751 0.626 1
Ca3 Ca 0.751 0.751 0.000 1
Ca4 Ca 0.625 0.250 0.125 1
Ca5 Ca 0.750 0.875 0.375 1
Ca6 Ca 0.125 0.500 0.875 1
Ca7 Ca 0.125 0.999 0.374 1
Ca8 Ca 0.500 0.375 0.625 1
Ca9 Ca 0.249 0.249 0.000 1
Ca10 Ca 0.249 0.875 0.874 1
Ca11 Ca 0.499 0.999 0.500 1
Ca12 Ca 0.001 0.375 0.126 1
Al1 Al 0.250 0.375 0.375 1
Al2 Al 0.625 0.000 0.875 1
Al3 Al 0.125 0.750 0.125 1
Al4 Al 0.000 0.875 0.625 1
Si1 Si 0.500 0.500 0.000 1
Si2 Si 0.250 0.750 0.500 1
Si3 Si 0.000 0.000 0.000 1
Si4 Si 0.750 0.250 0.500 1

---

# 6
# Li9Mn2Co5O16 | Materials Project | GGA+U | optimized geometry
# Calculated volume: 9.0 Å³ per atom
data_Li9Mn2Co5O16
_chemical_formula_sum 'Li9 Mn2 Co5 O16'
_cell_length_a 4.985
_cell_length_b 5.947
_cell_length_c 9.859
_cell_angle_alpha 89.06
_cell_angle_beta 78.99
_cell_angle_gamma 89.14
_space_group_name_H-M_alt 'P 1'
_space_group_IT_number 1
_space_group_name_Hall 'P 1'
loop_
_atom_site_label
_atom_site_type_symbol
_atom_site_fract_x
_atom_site_fract_y
_atom_site_fract_z
_atom_site_occupancy
Co1 Co 0.995 0.498 0.003 1
Co2 Co 0.500 0.251 0.000 1
Co3 Co 0.501 0.005 0.500 1
Co4 Co 0.002 0.739 0.500 1
Co5 Co 0.503 0.749 0.997 1
Mn1 Mn 0.999 0.250 0.500 1
Mn2 Mn 0.000 0.002 0.000 1
Li1 Li 0.747 0.497 0.751 1
Li2 Li 0.254 0.749 0.745 1
Li3 Li 0.740 0.994 0.748 1
Li4 Li 0.500 0.502 0.500 1
Li5 Li 0.748 0.260 0.257 1
Li6 Li 0.748 0.745 0.259 1
Li7 Li 0.258 0.005 0.252 1
Li8 Li 0.252 0.250 0.743 1
Li9 Li 0.253 0.498 0.246 1
O1 O 0.861 0.246 0.888 1
O2 O 0.852 0.737 0.878 1
O3 O 0.632 0.775 0.607 1
O4 O 0.153 0.258 0.119 1
O5 O 0.646 0.509 0.123 1
O6 O 0.900 0.489 0.385 1
O7 O 0.865 0.014 0.388 1
O8 O 0.365 0.489 0.888 1
O9 O 0.099 0.481 0.615 1
O10 O 0.135 0.009 0.611 1
O11 O 0.137 0.757 0.114 1
O12 O 0.633 0.228 0.608 1
O13 O 0.371 0.780 0.394 1
O14 O 0.356 0.994 0.881 1
O15 O 0.367 0.232 0.392 1
O16 O 0.630 0.009 0.110 1

---

Taking the records one at a time from the top gives energy relative to the elements values of -2354, -1911, -1586, -2567, -3357, -1811 meV per atom.